Run a
# NdBr3O18

A geometry-optimized NdBr3O18 structure (PBE-GGA, the Materials Project database).

Lattice parameters (Å, degrees): 10.9248 10.9248 7.2752 90.00 90.00 116.52
Positions (direct):
Nd (0.1912, 0.8088, 0.5000)
Nd (0.8088, 0.1912, 0.0000)
Br (0.2206, 0.3619, 0.2857)
Br (0.3535, 0.6465, 0.8097)
Br (0.3619, 0.2206, 0.7857)
Br (0.6381, 0.7794, 0.2857)
Br (0.6465, 0.3535, 0.3097)
Br (0.7794, 0.6381, 0.7857)
O (0.0088, 0.7608, 0.1221)
O (0.0483, 0.5920, 0.5913)
O (0.0500, 0.6734, 0.1500)
O (0.0696, 0.9304, 0.6075)
O (0.0958, 0.9042, 0.2464)
O (0.1104, 0.1935, 0.2986)
O (0.1163, 0.4433, 0.2838)
O (0.1816, 0.5872, 0.8251)
O (0.1935, 0.1104, 0.7986)
O (0.2392, 0.9912, 0.1221)
O (0.3042, 0.3917, 0.0872)
O (0.3130, 0.6870, 0.3487)
O (0.3266, 0.9500, 0.1500)
O (0.3862, 0.6138, 0.5906)
O (0.3917, 0.3042, 0.5872)
O (0.4080, 0.9517, 0.5913)
O (0.4128, 0.8184, 0.8251)
O (0.4433, 0.1163, 0.7838)
O (0.5567, 0.8837, 0.2838)
O (0.5872, 0.1816, 0.3251)
O (0.5920, 0.0483, 0.0913)
O (0.6083, 0.6958, 0.0872)
O (0.6138, 0.3862, 0.0906)
O (0.6734, 0.0500, 0.6500)
O (0.6870, 0.3130, 0.8487)
O (0.6958, 0.6083, 0.5872)
O (0.7608, 0.0088, 0.6221)
O (0.8065, 0.8896, 0.2986)
O (0.8184, 0.4128, 0.3251)
O (0.8837, 0.5567, 0.7838)
O (0.8896, 0.8065, 0.7986)
O (0.9042, 0.0958, 0.7464)
O (0.9304, 0.0696, 0.1075)
O (0.9500, 0.3266, 0.6500)
O (0.9517, 0.4080, 0.0913)
O (0.9912, 0.2392, 0.6221)

Properties
total magnetization = 10.000 μB per formula unit
SG = No. 36



Run b
# NdBr3O18

A geometry-optimized NdBr3O18 structure (PBE-GGA, the Materials Project database).

Lattice parameters (Å, degrees): 10.7447 10.7447 7.6644 90.00 90.00 120.08
Positions (direct):
Nd (0.1683, 0.8317, 0.5000)
Nd (0.8317, 0.1683, 0.0000)
Br (0.2022, 0.3497, 0.9806)
Br (0.3497, 0.2022, 0.4806)
Br (0.3525, 0.6475, 0.4991)
Br (0.6475, 0.3525, 0.9991)
Br (0.6503, 0.7978, 0.9806)
Br (0.7978, 0.6503, 0.4806)
O (0.0243, 0.7634, 0.8504)
O (0.0794, 0.9206, 0.2773)
O (0.0825, 0.1689, 0.0020)
O (0.0822, 0.4108, 0.9951)
O (0.0866, 0.6541, 0.2762)
O (0.0913, 0.6942, 0.9440)
O (0.0917, 0.9083, 0.9214)
O (0.1689, 0.0825, 0.5020)
O (0.1710, 0.5867, 0.5110)
O (0.2361, 0.7639, 0.8734)
O (0.2366, 0.9757, 0.8504)
O (0.2705, 0.3817, 0.7817)
O (0.3058, 0.9087, 0.9440)
O (0.3459, 0.9134, 0.2762)
O (0.3817, 0.2705, 0.2817)
O (0.3895, 0.6105, 0.3038)
O (0.4108, 0.0822, 0.4951)
O (0.4133, 0.8290, 0.5110)
O (0.5867, 0.1710, 0.0110)
O (0.5892, 0.9178, 0.9951)
O (0.6105, 0.3895, 0.8038)
O (0.6183, 0.7295, 0.7817)
O (0.6541, 0.0866, 0.7762)
O (0.6942, 0.0913, 0.4440)
O (0.7295, 0.6183, 0.2817)
O (0.7634, 0.0243, 0.3504)
O (0.7639, 0.2361, 0.3734)
O (0.8290, 0.4133, 0.0110)
O (0.8311, 0.9175, 0.0020)
O (0.9083, 0.0917, 0.4214)
O (0.9087, 0.3058, 0.4440)
O (0.9134, 0.3459, 0.7762)
O (0.9178, 0.5892, 0.4951)
O (0.9175, 0.8311, 0.5020)
O (0.9206, 0.0794, 0.7773)
O (0.9757, 0.2366, 0.3504)

Properties
total magnetization = 6.000 μB per formula unit
SG = No. 36



Energy ordering: run b at the bottom, the next structure 18 meV/atom above.



Run a
# BrO

A geometry-optimized BrO structure (PBE-GGA, the Materials Project database).

Lattice parameters (Å, degrees): 3.7686 3.7686 9.5296 90.00 90.00 120.00
Positions (direct):
Br (0.0000, 0.0000, 0.0000)
Br (0.3333, 0.6667, 0.6667)
Br (0.6667, 0.3333, 0.3333)
O (0.0000, 0.0000, 0.6336)
O (0.3333, 0.6667, 0.3002)
O (0.6667, 0.3333, 0.9669)

Properties
total magnetization = 0.828 μB per formula unit
SG = No. 160



Run b
# BrO

A geometry-optimized BrO structure (PBE-GGA, the Materials Project database).

Lattice parameters (Å, degrees): 3.7075 3.7075 7.5216 90.00 90.00 120.00
Positions (direct):
Br (0.0000, 0.0000, 0.0000)
Br (0.3333, 0.6667, 0.6667)
Br (0.6667, 0.3333, 0.3333)
O (0.0000, 0.0000, 0.5000)
O (0.3333, 0.6667, 0.1667)
O (0.6667, 0.3333, 0.8333)

Properties
total magnetization = 0.002 μB per formula unit
SG = No. 166



Energy ordering: run a at the bottom, the next structure 166 meV/atom above.



Run a
# BrO4

A geometry-optimized BrO4 structure (PBE-GGA, the Materials Project database).

Lattice parameters (Å, degrees): 5.5042 13.1838 6.9471 90.00 96.36 90.00
Positions (direct):
Br (0.0981, 0.0000, 0.0800)
Br (0.3149, 0.0343, 0.7710)
Br (0.6851, 0.5343, 0.2290)
Br (0.9019, 0.5000, 0.9200)
O (0.0053, 0.2321, 0.5052)
O (0.2065, 0.7593, 0.4830)
O (0.2858, 0.4460, 0.5682)
O (0.3025, 0.4896, 0.7255)
O (0.3233, 0.7774, 0.0077)
O (0.3417, 0.2723, 0.1412)
O (0.4202, 0.5609, 0.3363)
O (0.4436, 0.2642, 0.9835)
O (0.5564, 0.7642, 0.0165)
O (0.5798, 0.0609, 0.6637)
O (0.6583, 0.7723, 0.8588)
O (0.6767, 0.2774, 0.9923)
O (0.6975, 0.9896, 0.2745)
O (0.7142, 0.9460, 0.4318)
O (0.7935, 0.2593, 0.5170)
O (0.9947, 0.7321, 0.4948)

Properties
total magnetization = 0.997 μB per formula unit
SG = No. 4



Run b
# BrO4

A geometry-optimized BrO4 structure (PBE-GGA, the Materials Project database).

Lattice parameters (Å, degrees): 5.8346 9.8080 6.4898 90.00 109.39 90.00
Positions (direct):
Br (0.0603, 0.0000, 0.1529)
Br (0.3652, 0.8407, 0.7222)
Br (0.6348, 0.3407, 0.2778)
Br (0.9397, 0.5000, 0.8471)
O (0.1049, 0.8600, 0.7752)
O (0.1425, 0.0761, 0.3971)
O (0.1479, 0.1966, 0.8224)
O (0.1627, 0.5827, 0.0367)
O (0.3186, 0.4726, 0.5410)
O (0.3220, 0.1425, 0.9641)
O (0.3256, 0.7540, 0.4918)
O (0.4160, 0.4164, 0.7185)
O (0.5840, 0.9164, 0.2815)
O (0.6744, 0.2540, 0.5082)
O (0.6780, 0.6425, 0.0359)
O (0.6814, 0.9726, 0.4590)
O (0.8373, 0.0827, 0.9633)
O (0.8521, 0.6966, 0.1776)
O (0.8575, 0.5761, 0.6029)
O (0.8951, 0.3600, 0.2248)

Properties
total magnetization = 1.000 μB per formula unit
SG = No. 4



Energy ordering: run b at the bottom, the next structure 170 meV/atom above.



Run a
# PrBr3O6

A geometry-optimized PrBr3O6 structure (PBE-GGA, the Materials Project database).

Lattice parameters (Å, degrees): 6.1877 6.4147 11.3799 90.00 108.04 90.00
Positions (direct):
Pr (0.0000, 0.1844, 0.2500)
Pr (0.0000, 0.8156, 0.7500)
Br (0.1807, 0.3028, 0.9477)
Br (0.1807, 0.6972, 0.4477)
Br (0.5000, 0.4222, 0.7500)
Br (0.5000, 0.5778, 0.2500)
Br (0.8193, 0.3028, 0.5523)
Br (0.8193, 0.6972, 0.0523)
O (0.0353, 0.2281, 0.0501)
O (0.0353, 0.7719, 0.5501)
O (0.2330, 0.0868, 0.8641)
O (0.2330, 0.9132, 0.3641)
O (0.3228, 0.4173, 0.3047)
O (0.3228, 0.5827, 0.8047)
O (0.6772, 0.4173, 0.1953)
O (0.6772, 0.5827, 0.6953)
O (0.7670, 0.0868, 0.6359)
O (0.7670, 0.9132, 0.1359)
O (0.9647, 0.2281, 0.4499)
O (0.9647, 0.7719, 0.9499)

Properties
total magnetization = 0.001 μB per formula unit
SG = No. 13



Run b
# PrBr3O6

A geometry-optimized PrBr3O6 structure (PBE-GGA, the Materials Project database).

Lattice parameters (Å, degrees): 6.4507 7.5367 10.5257 90.00 106.69 90.00
Positions (direct):
Pr (0.0000, 0.1361, 0.2500)
Pr (0.0000, 0.8639, 0.7500)
Br (0.1514, 0.2182, 0.9689)
Br (0.1514, 0.7818, 0.4689)
Br (0.5000, 0.1515, 0.7500)
Br (0.5000, 0.8485, 0.2500)
Br (0.8486, 0.2182, 0.5311)
Br (0.8486, 0.7818, 0.0311)
O (0.0053, 0.3113, 0.0787)
O (0.0053, 0.6887, 0.5787)
O (0.3372, 0.0157, 0.8168)
O (0.3372, 0.9843, 0.3168)
O (0.4441, 0.4057, 0.2892)
O (0.4441, 0.5943, 0.7892)
O (0.5559, 0.4057, 0.2108)
O (0.5559, 0.5943, 0.7108)
O (0.6628, 0.0157, 0.6832)
O (0.6628, 0.9843, 0.1832)
O (0.9947, 0.3113, 0.4213)
O (0.9947, 0.6887, 0.9213)

Properties
total magnetization = 2.000 μB per formula unit
SG = No. 13



Energy ordering: run a at the bottom, the next structure 317 meV/atom above.



Run a
# Rb2UBr4O4

A geometry-optimized Rb2UBr4O4 structure (PBE-GGA, the Materials Project database).

Lattice parameters (Å, degrees): 7.0377 7.0591 8.1585 73.37 81.39 63.21
Positions (direct):
Rb (0.2483, 0.0534, 0.2419)
Rb (0.7517, 0.9466, 0.7581)
U (0.5000, 0.5000, 0.0000)
Br (0.0912, 0.6557, 0.1503)
Br (0.3496, 0.7658, 0.6645)
Br (0.6504, 0.2342, 0.3355)
Br (0.9088, 0.3443, 0.8497)
O (0.3298, 0.1482, 0.5686)
O (0.4679, 0.2720, 0.9674)
O (0.5321, 0.7280, 0.0326)
O (0.6702, 0.8518, 0.4314)

Properties
total magnetization = 4.010 μB per formula unit
SG = No. 2



Run b
# Rb2UBr4O4

A geometry-optimized Rb2UBr4O4 structure (PBE-GGA, the Materials Project database).

Lattice parameters (Å, degrees): 6.9145 6.9350 7.9410 91.72 102.05 115.96
Positions (direct):
Rb (0.1713, 0.4194, 0.2599)
Rb (0.8287, 0.5806, 0.7401)
U (0.5000, 0.0000, 0.0000)
Br (0.2224, 0.1818, 0.8437)
Br (0.4061, 0.7678, 0.6655)
Br (0.5939, 0.2322, 0.3345)
Br (0.7776, 0.8182, 0.1563)
O (0.0928, 0.3762, 0.6168)
O (0.2576, 0.7765, 0.0392)
O (0.7424, 0.2235, 0.9608)
O (0.9072, 0.6238, 0.3832)

Properties
total magnetization = 4.003 μB per formula unit
SG = No. 2



Energy ordering: run b at the bottom, the next structure 14 meV/atom above.



Run a
# Sr4Br6O

A geometry-optimized Sr4Br6O structure (PBE-GGA, the Materials Project database).

Lattice parameters (Å, degrees): 9.9966 9.9966 7.6716 90.00 90.00 120.00
Positions (direct):
Sr (0.2011, 0.4022, 0.0000)
Sr (0.2011, 0.7989, 0.0000)
Sr (0.3333, 0.6667, 0.5877)
Sr (0.4022, 0.2011, 0.5000)
Sr (0.5978, 0.7989, 0.0000)
Sr (0.6667, 0.3333, 0.0877)
Sr (0.7989, 0.2011, 0.5000)
Sr (0.7989, 0.5978, 0.5000)
Br (0.0695, 0.5348, 0.2961)
Br (0.1392, 0.2783, 0.6173)
Br (0.1392, 0.8608, 0.6173)
Br (0.2783, 0.1392, 0.1173)
Br (0.4652, 0.5348, 0.2961)
Br (0.4652, 0.9305, 0.2961)
Br (0.5348, 0.0695, 0.7961)
Br (0.5348, 0.4652, 0.7961)
Br (0.7217, 0.8608, 0.6173)
Br (0.8608, 0.1392, 0.1173)
Br (0.8608, 0.7217, 0.1173)
Br (0.9305, 0.4652, 0.7961)
O (0.3333, 0.6667, 0.8999)
O (0.6667, 0.3333, 0.3999)

Properties
SG = No. 186
piezoelectric modulus e_max = 0.2 C/m²



Run b
# Sr4Br6O

A geometry-optimized Sr4Br6O structure (PBE-GGA, the Materials Project database).

Lattice parameters (Å, degrees): 9.7465 9.7465 7.3579 90.00 90.00 90.00
Positions (direct):
Sr (0.0185, 0.7500, 0.0933)
Sr (0.2500, 0.5185, 0.4067)
Sr (0.2500, 0.9815, 0.4067)
Sr (0.4815, 0.7500, 0.0933)
Sr (0.5185, 0.2500, 0.9067)
Sr (0.7500, 0.0185, 0.5933)
Sr (0.7500, 0.4815, 0.5933)
Sr (0.9815, 0.2500, 0.9067)
Br (0.0467, 0.5467, 0.7500)
Br (0.0467, 0.9533, 0.7500)
Br (0.2500, 0.2500, 0.1385)
Br (0.2500, 0.2500, 0.6385)
Br (0.4533, 0.5467, 0.7500)
Br (0.4533, 0.9533, 0.7500)
Br (0.5467, 0.0467, 0.2500)
Br (0.5467, 0.4533, 0.2500)
Br (0.7500, 0.7500, 0.3615)
Br (0.7500, 0.7500, 0.8615)
Br (0.9533, 0.0467, 0.2500)
Br (0.9533, 0.4533, 0.2500)
O (0.2500, 0.7500, 0.2500)
O (0.7500, 0.2500, 0.7500)

Properties
total magnetization = 0.001 μB per formula unit
SG = No. 137



Energy ordering: run a at the bottom, the next structure 85 meV/atom above.